Entry 1:
The following is a DFT calculation (PBE) of a geometry-optimized Na5GdO4 structure.

Properties
For the total magnetic moment, the calculation gives 55.98 Bohr magnetons per cell. The raw total energy comes out at -5.78 eV per atom. Its formation energy is -2.003 eV/atom.

Cell lengths 6.0729, 18.4578, 11.8689 Å; angles 90.00, 90.00, 90.00 degrees
Last column: nearest neighbours and their distance in Å.
Space group Pbca (No. 61)
Inequivalent atoms, fractional coordinates:
Na: 0.0711 0.1512 0.1989 (multiplicity 8)  3 O 2.24-2.48
Na: 0.0851 0.6823 0.8019 (multiplicity 8)  3 O 2.34-2.45
Na: 0.0897 0.7399 0.5581 (multiplicity 8)  4 O 2.42-2.57
Na: 0.1025 0.0735 0.9205 (multiplicity 8)  3 O 2.22-2.40
Na: 0.1335 0.0102 0.6884 (multiplicity 8)  3 O 2.23-2.41
Gd: 0.1358 0.1153 0.4571 (multiplicity 8)  4 O 2.13-2.26
O: 0.2095 0.6353 0.0490 (multiplicity 8)  1 Gd 2.13, 2 Na 2.22-2.24
O: 0.2232 0.0241 0.3532 (multiplicity 8)  1 Gd 2.15, 3 Na 2.23-2.31
O: 0.2380 0.6288 0.6349 (multiplicity 8)  1 Gd 2.26, 5 Na 2.40-2.45
O: 0.2467 0.2107 0.3637 (multiplicity 8)  1 Gd 2.19, 3 Na 2.34-2.42

Entry 2:
The following is a DFT calculation (PBE) of a geometry-optimized CdHgO2 structure.

Properties
For the total magnetic moment, the calculation gives 0.00 Bohr magnetons per cell. The raw total energy comes out at -3.48 eV per atom. Its formation energy is -1.039 eV/atom.

Cell lengths 6.1998, 3.5744, 6.6083 Å; angles 90.00, 107.78, 90.00 degrees
Last column: nearest neighbours and their distance in Å.
Space group C2/m (No. 12)
Inequivalent atoms, fractional coordinates:
Cd: 0.0000 0.0000 0.0000 (multiplicity 2)  6 O 2.36
Hg: 0.0000 0.5000 0.5000 (multiplicity 2)  2 O 2.01
O: 0.1080 0.5000 0.8198 (multiplicity 4)  1 Hg 2.01